Na5Ta2In2Si3P3O24 | PBE | optimized geometry

Computed properties:
**Total moment**: 0.00 μB per cell
**Volume**: 13.8 A^3/atom
**Energy**: -836.81 eV per cell
**Space group**: P1 (1)
**DFT formation energy**: -2.78 eV/atom

```
data_Na5Ta2In2Si3P3O24
_cell_length_a 9.030
_cell_length_b 9.043
_cell_length_c 22.752
_cell_angle_alpha 89.72
_cell_angle_beta 89.73
_cell_angle_gamma 60.31
_space_group_name_H-M_alt 'P 1'
_space_group_IT_number 1
_space_group_name_Hall 'P 1'
loop_
_atom_site_label
_atom_site_fract_x
_atom_site_fract_y
_atom_site_fract_z
Na1 0.000 0.000 0.000
Na2 0.001 0.654 0.503
Na3 0.265 0.390 0.003
Na4 0.288 0.328 0.667
Na5 0.301 0.699 0.421
Na6 0.309 0.691 0.920
Na7 0.333 0.340 0.336
Na8 0.611 0.391 0.502
Na9 0.627 0.020 0.756
Na10 0.632 0.023 0.254
Na11 0.933 0.054 0.671
Na12 0.940 0.674 0.167
Na13 0.952 0.723 0.837
Na14 0.955 0.359 0.588
Na15 0.959 0.349 0.089
Ta1 0.296 0.684 0.770
Ta2 0.302 0.680 0.270
Ta3 0.621 0.020 0.104
Ta4 0.628 0.012 0.603
Ta5 0.961 0.350 0.436
Ta6 0.961 0.350 0.936
In1 0.298 0.685 0.066
In2 0.301 0.683 0.566
In3 0.628 0.019 0.898
In4 0.631 0.016 0.398
In5 0.952 0.356 0.733
In6 0.963 0.343 0.232
Si1 0.001 0.685 0.666
Si2 0.298 0.388 0.166
Si3 0.334 0.307 0.498
Si4 0.338 0.015 0.998
Si5 0.591 0.389 0.665
Si6 0.627 0.726 0.498
Si7 0.671 0.349 0.332
Si8 0.918 0.724 0.999
Si9 0.964 0.055 0.832
P1 0.002 0.976 0.166
P2 0.251 0.057 0.332
P3 0.255 0.351 0.832
P4 0.300 0.971 0.667
P5 0.586 0.687 0.166
P6 0.631 0.307 0.000
P7 0.668 0.641 0.833
P8 0.920 0.019 0.500
P9 0.963 0.644 0.331
O1 0.096 0.866 0.508
O2 0.099 0.902 0.108
O3 0.100 0.717 0.724
O4 0.100 0.852 0.219
O5 0.109 0.655 0.606
O6 0.112 0.691 0.005
O7 0.127 0.375 0.173
O8 0.132 0.152 0.387
O9 0.132 0.382 0.887
O10 0.136 0.650 0.327
O11 0.142 0.863 0.827
O12 0.144 0.322 0.491
O13 0.146 0.197 0.992
O14 0.152 0.153 0.674
O15 0.176 0.330 0.776
O16 0.179 0.169 0.279
O17 0.259 0.525 0.827
O18 0.260 0.880 0.326
O19 0.260 0.901 0.613
O20 0.262 0.500 0.107
O21 0.296 0.863 0.006
O22 0.300 0.501 0.504
O23 0.322 0.493 0.224
O24 0.326 0.854 0.722
O25 0.429 0.035 0.339
O26 0.432 0.202 0.839
O27 0.433 0.052 0.056
O28 0.434 0.183 0.557
O29 0.445 0.993 0.941
O30 0.451 0.236 0.441
O31 0.458 0.493 0.721
O32 0.467 0.984 0.660
O33 0.468 0.713 0.221
O34 0.472 0.688 0.503
O35 0.476 0.201 0.160
O36 0.477 0.530 0.325
O37 0.478 0.483 0.008
O38 0.491 0.650 0.827
O39 0.510 0.660 0.111
O40 0.516 0.491 0.605
O41 0.595 0.201 0.661
O42 0.596 0.234 0.945
O43 0.600 0.856 0.161
O44 0.608 0.832 0.440
O45 0.627 0.196 0.337
O46 0.647 0.818 0.840
O47 0.664 0.184 0.054
O48 0.664 0.820 0.556
O49 0.763 0.522 0.888
O50 0.766 0.376 0.392
O51 0.769 0.542 0.173
O52 0.779 0.324 0.275
O53 0.780 0.569 0.779
O54 0.786 0.347 0.669
O55 0.795 0.823 0.058
O56 0.801 0.052 0.556
O57 0.802 0.313 0.994
O58 0.806 0.018 0.836
O59 0.809 0.534 0.492
O60 0.814 0.821 0.339
O61 0.816 0.865 0.660
O62 0.825 0.978 0.162
O63 0.844 0.985 0.446
O64 0.849 0.839 0.941
O65 0.926 0.190 0.494
O66 0.935 0.533 0.991
O67 0.941 0.157 0.772
O68 0.943 0.564 0.275
O69 0.975 0.154 0.171
O70 0.985 0.158 0.890
O71 0.992 0.513 0.673
O72 0.995 0.520 0.386
```

UBi2O6 | PBE | optimized geometry

Computed properties:
**Total moment**: 0.00 μB per cell
**Volume**: 14.3 A^3/atom
**Energy**: -67.25 eV per cell
**Space group**: P-3m1 (164)
**DFT formation energy**: -2.51 eV/atom

```
data_UBi2O6
_cell_length_a 3.897
_cell_length_b 3.897
_cell_length_c 9.760
_cell_angle_alpha 90.00
_cell_angle_beta 90.00
_cell_angle_gamma 120.00
_space_group_name_H-M_alt 'P 1'
_space_group_IT_number 1
_space_group_name_Hall 'P 1'
loop_
_atom_site_label
_atom_site_fract_x
_atom_site_fract_y
_atom_site_fract_z
U1 0.000 0.000 0.000
Bi1 0.333 0.667 0.657
Bi2 0.667 0.333 0.343
O1 0.000 0.000 0.210
O2 0.000 0.000 0.790
O3 0.333 0.667 0.045
O4 0.333 0.667 0.419
O5 0.667 0.333 0.581
O6 0.667 0.333 0.955
```

Na2YCuCl6 | PBE | optimized geometry

Computed properties:
**Total moment**: 0.00 μB per cell
**Volume**: 26.9 A^3/atom
**Energy**: -39.82 eV per cell
**Space group**: Fm-3m (225)
**DFT formation energy**: -1.92 eV/atom

```
data_Na2YCuCl6
_cell_length_a 7.246
_cell_length_b 7.246
_cell_length_c 7.246
_cell_angle_alpha 60.00
_cell_angle_beta 60.00
_cell_angle_gamma 60.00
_space_group_name_H-M_alt 'P 1'
_space_group_IT_number 1
_space_group_name_Hall 'P 1'
loop_
_atom_site_label
_atom_site_fract_x
_atom_site_fract_y
_atom_site_fract_z
Na1 0.250 0.250 0.250
Na2 0.750 0.750 0.750
Y1 0.000 0.000 0.000
Cu1 0.500 0.500 0.500
Cl1 0.256 0.256 0.744
Cl2 0.256 0.744 0.256
Cl3 0.256 0.744 0.744
Cl4 0.744 0.256 0.256
Cl5 0.744 0.256 0.744
Cl6 0.744 0.744 0.256
```

Be12V | PBE | optimized geometry

Computed properties:
**Volume**: 8.3 A^3/atom
**Energy**: -55.29 eV per cell
**Space group**: I4/mmm (139)
**DFT formation energy**: -0.10 eV/atom

```
data_Be12V
_cell_length_a 5.504
_cell_length_b 5.504
_cell_length_c 5.504
_cell_angle_alpha 98.17
_cell_angle_beta 98.17
_cell_angle_gamma 135.70
_space_group_name_H-M_alt 'P 1'
_space_group_IT_number 1
_space_group_name_Hall 'P 1'
loop_
_atom_site_label
_atom_site_fract_x
_atom_site_fract_y
_atom_site_fract_z
Be1 0.000 0.000 0.500
Be2 0.000 0.212 0.212
Be3 0.000 0.500 0.000
Be4 0.000 0.788 0.788
Be5 0.151 0.500 0.651
Be6 0.212 0.000 0.212
Be7 0.500 0.000 0.000
Be8 0.500 0.151 0.651
Be9 0.500 0.500 0.500
Be10 0.500 0.849 0.349
Be11 0.788 0.000 0.788
Be12 0.849 0.500 0.349
V1 0.500 0.500 0.000
```